[1]
A relaxed Sr2LaTa3O11 crystal. Source: the Materials Project database, functional PBE.

```
Sr2LaTa3O11
1.0
7.870 1.661 8.163
1.576 1.686 11.225
-3.402 -4.914 -9.778
O Sr La Ta
11 2 1 3
Direct
0.380 0.880 0.500
0.677 0.441 0.236
0.620 0.120 0.500
0.323 0.559 0.764
0.932 0.695 0.238
0.796 0.559 0.236
0.457 0.695 0.762
0.068 0.305 0.762
0.204 0.441 0.764
0.543 0.305 0.238
0.000 0.000 0.000
0.205 0.205 0.000
0.795 0.795 0.000
0.500 0.000 0.500
0.000 0.500 0.500
0.635 0.635 0.000
0.365 0.365 0.000
```

Calculated values
Calculated formation energy, eV per atom: -3.5569
Raw total energy, eV per atom: -8.896
Magnetization, μB/f.u.: 0.0

=====

[2]
A relaxed Sr9LaTi10O30 crystal. Source: the Materials Project database, functional PBE.

```
Sr9LaTi10O30
1.0
9.660 0.000 0.000
3.199 10.697 0.000
3.212 1.962 11.893
Sr O Ti La
18 60 20 2
Direct
0.150 0.350 0.450
0.850 0.650 0.550
0.050 0.950 0.150
0.950 0.050 0.850
0.250 0.750 0.750
0.450 0.550 0.350
0.851 0.150 0.550
0.350 0.650 0.050
0.550 0.950 0.650
0.149 0.850 0.450
0.950 0.550 0.850
0.350 0.150 0.050
0.650 0.850 0.950
0.750 0.250 0.250
0.650 0.350 0.950
0.550 0.450 0.650
0.050 0.450 0.150
0.450 0.050 0.350
0.750 0.000 0.750
0.946 0.799 0.348
0.658 0.105 0.947
0.751 0.500 0.750
0.053 0.947 0.658
0.054 0.706 0.149
0.150 0.600 0.950
0.342 0.895 0.053
0.859 0.406 0.547
0.946 0.294 0.851
0.050 0.700 0.650
0.453 0.547 0.858
0.547 0.453 0.142
0.350 0.900 0.550
0.054 0.201 0.652
0.542 0.695 0.652
0.450 0.800 0.850
0.942 0.795 0.853
0.152 0.103 0.947
0.652 0.348 0.458
0.550 0.950 0.143
0.348 0.652 0.542
0.253 0.747 0.258
0.458 0.305 0.348
0.747 0.753 0.742
0.747 0.253 0.742
0.654 0.846 0.455
0.346 0.154 0.545
0.464 0.804 0.345
0.536 0.196 0.655
0.147 0.853 0.942
0.650 0.100 0.450
0.550 0.200 0.150
0.258 0.011 0.747
0.450 0.050 0.857
0.250 0.000 0.250
0.850 0.400 0.050
0.342 0.394 0.052
0.658 0.606 0.948
0.253 0.247 0.258
0.652 0.603 0.447
0.853 0.147 0.058
0.447 0.299 0.848
0.348 0.397 0.553
0.142 0.095 0.453
0.249 0.500 0.250
0.943 0.557 0.340
0.742 0.498 0.253
0.742 0.989 0.253
0.851 0.649 0.063
0.950 0.300 0.350
0.057 0.443 0.660
0.553 0.701 0.152
0.848 0.897 0.053
0.058 0.205 0.147
0.149 0.351 0.937
0.141 0.594 0.453
0.258 0.502 0.747
0.947 0.053 0.342
0.858 0.905 0.547
0.699 0.549 0.100
0.601 0.650 0.800
0.601 0.149 0.800
0.900 0.850 0.700
0.399 0.851 0.200
0.399 0.350 0.200
0.500 0.250 0.499
0.801 0.951 0.401
0.199 0.049 0.599
0.200 0.551 0.600
0.500 0.750 0.501
0.000 0.250 0.001
0.000 0.750 0.999
0.301 0.451 0.900
0.100 0.150 0.300
0.898 0.351 0.700
0.800 0.449 0.400
0.699 0.051 0.100
0.102 0.649 0.300
0.301 0.949 0.900
0.250 0.250 0.750
0.750 0.750 0.250
```

Calculated values
Calculated formation energy, eV per atom: -3.5751
Raw total energy, eV per atom: -8.114
Magnetization, μB/f.u.: 0.0

=====

[3]
A relaxed LaTaO4 crystal. Source: the Materials Project database, functional PBE.

```
LaTaO4
1.0
2.497 6.918 2.451
-5.796 -4.937 -1.461
0.380 -2.010 5.286
O Ta La
8 2 2
Direct
0.089 0.911 0.252
0.911 0.089 0.752
0.699 0.301 0.426
0.471 0.529 0.056
0.301 0.699 0.926
0.336 0.664 0.449
0.664 0.336 0.949
0.529 0.471 0.556
0.415 0.585 0.717
0.585 0.415 0.217
0.176 0.824 0.668
0.824 0.176 0.168
```

Calculated values
Calculated formation energy, eV per atom: -3.7051
Piezoelectric modulus e_max, C/m2: 2.33
Raw total energy, eV per atom: -9.345

=====

[4]
A relaxed LaTaO3 crystal. Source: the Materials Project database, functional PBE.

```
LaTaO3
1.0
4.073 0.000 0.000
0.000 4.073 0.000
0.000 0.000 4.073
O Ta La
3 1 1
Direct
0.500 0.000 0.000
0.000 0.000 0.500
0.000 0.500 0.000
0.000 0.000 0.000
0.500 0.500 0.500
```

Calculated values
Calculated formation energy, eV per atom: -3.1308
Raw total energy, eV per atom: -9.046
Magnetization, μB/f.u.: 0.0

=====

[5]
A relaxed LaTaO4 crystal. Source: the Materials Project database, functional PBE.

```
LaTaO4
1.0
-3.165 -1.411 4.390
2.859 -7.217 -0.258
6.249 0.674 4.722
O La Ta
16 4 4
Direct
0.918 0.948 0.709
0.162 0.831 0.053
0.582 0.948 0.209
0.017 0.618 0.831
0.338 0.831 0.553
0.983 0.382 0.169
0.507 0.333 0.135
0.082 0.052 0.291
0.662 0.169 0.447
0.517 0.382 0.669
0.493 0.667 0.865
0.838 0.169 0.947
0.418 0.052 0.791
0.483 0.618 0.331
0.993 0.333 0.635
0.007 0.667 0.365
0.225 0.348 0.900
0.775 0.652 0.100
0.725 0.652 0.600
0.275 0.348 0.400
0.765 0.166 0.195
0.265 0.834 0.305
0.735 0.166 0.695
0.235 0.834 0.805
```

Calculated values
Calculated formation energy, eV per atom: -3.7144
Raw total energy, eV per atom: -9.354

=====

[6]
A relaxed La5Ta22O62 crystal. Source: the Materials Project database, functional PBE.

```
La5Ta22O62
1.0
1.391 -9.449 8.788
2.810 -2.662 12.388
-11.915 0.760 3.263
O Ta La
62 22 5
Direct
0.531 0.031 0.611
0.179 0.679 0.498
0.251 0.751 0.642
0.589 0.091 0.416
0.922 0.922 0.343
0.604 0.604 0.930
0.091 0.589 0.416
0.109 0.608 0.216
0.679 0.179 0.498
0.194 0.694 0.938
0.012 0.509 0.836
0.356 0.876 0.268
0.755 0.755 0.991
0.408 0.933 0.010
0.805 0.306 0.061
0.319 0.824 0.501
0.207 0.708 0.179
0.708 0.207 0.179
0.291 0.792 0.820
0.451 0.451 0.781
0.360 0.360 0.597
0.824 0.319 0.501
0.130 0.630 0.740
0.219 0.219 0.709
0.860 0.860 0.597
0.752 0.247 0.357
0.636 0.636 0.416
0.579 0.579 0.655
0.482 0.008 0.159
0.282 0.282 0.295
0.694 0.194 0.938
0.608 0.109 0.216
0.031 0.531 0.611
0.933 0.408 0.010
0.581 0.083 0.979
0.247 0.752 0.357
0.509 0.012 0.836
0.911 0.410 0.584
0.306 0.805 0.061
0.079 0.079 0.656
0.395 0.395 0.063
0.969 0.470 0.389
0.719 0.719 0.710
0.083 0.581 0.979
0.470 0.969 0.389
0.895 0.895 0.062
0.785 0.785 0.293
0.792 0.291 0.820
0.876 0.356 0.268
0.102 0.102 0.935
0.046 0.046 0.219
0.630 0.130 0.740
0.391 0.893 0.783
0.252 0.252 0.996
0.893 0.391 0.783
0.410 0.911 0.584
0.542 0.542 0.228
0.008 0.482 0.159
0.422 0.422 0.343
0.951 0.951 0.780
0.141 0.141 0.409
0.751 0.251 0.642
0.850 0.352 0.932
0.352 0.850 0.932
0.667 0.166 0.332
0.997 0.501 0.003
0.033 0.535 0.298
0.293 0.788 0.213
0.535 0.033 0.298
0.466 0.966 0.700
0.650 0.150 0.068
0.501 0.997 0.003
0.108 0.607 0.575
0.607 0.108 0.575
0.150 0.650 0.068
0.891 0.396 0.420
0.166 0.667 0.332
0.396 0.891 0.420
0.712 0.212 0.785
0.788 0.293 0.213
0.834 0.334 0.667
0.334 0.834 0.667
0.212 0.712 0.785
0.966 0.466 0.700
0.505 0.505 0.490
0.165 0.165 0.170
0.332 0.332 0.835
0.004 0.004 0.491
0.832 0.832 0.836
```

Calculated values
Calculated formation energy, eV per atom: -3.4517
Raw total energy, eV per atom: -9.628
Magnetization, μB/f.u.: 0.3

=====

[7]
A relaxed LaTaO4 crystal. Source: the Materials Project database, functional PBE.

```
LaTaO4
1.0
7.569 0.000 0.000
0.000 8.003 0.000
0.000 0.000 11.216
O La Ta
32 8 8
Direct
0.254 0.633 0.191
0.934 0.874 0.579
0.754 0.633 0.309
0.500 0.622 0.751
0.254 0.867 0.691
0.500 0.122 0.749
0.434 0.874 0.921
0.746 0.133 0.309
0.066 0.126 0.421
0.500 0.878 0.251
0.000 0.122 0.751
0.000 0.622 0.749
0.575 0.626 0.080
0.425 0.374 0.920
0.566 0.374 0.579
0.934 0.626 0.079
0.925 0.374 0.580
0.075 0.626 0.420
0.075 0.874 0.920
0.746 0.367 0.809
0.434 0.626 0.421
0.566 0.126 0.079
0.500 0.378 0.249
0.925 0.126 0.080
0.246 0.133 0.191
0.754 0.867 0.809
0.000 0.878 0.249
0.066 0.374 0.921
0.246 0.367 0.691
0.425 0.126 0.420
0.575 0.874 0.580
0.000 0.378 0.251
0.746 0.126 0.525
0.754 0.626 0.525
0.254 0.874 0.475
0.246 0.126 0.975
0.246 0.374 0.475
0.746 0.374 0.025
0.254 0.626 0.975
0.754 0.874 0.025
0.504 0.621 0.251
0.496 0.121 0.249
0.496 0.379 0.749
0.504 0.879 0.751
0.996 0.121 0.251
0.004 0.621 0.249
0.996 0.379 0.751
0.004 0.879 0.749
```

Calculated values
Calculated formation energy, eV per atom: -3.6922
Raw total energy, eV per atom: -9.332
Magnetization, μB/f.u.: 0.0

=====

[8]
A relaxed LaZrTa3O11 crystal. Source: the Materials Project database, functional PBE.

```
LaZrTa3O11
1.0
-1.190 -1.777 -5.977
4.232 -3.220 3.468
-9.124 -7.654 4.068
O Ta Zr La
22 6 2 2
Direct
0.001 0.244 0.750
0.938 0.371 0.404
0.242 0.253 0.250
0.340 0.669 0.709
0.060 0.433 0.096
0.662 0.329 0.791
0.377 0.435 0.906
0.565 0.623 0.094
0.255 0.012 0.749
0.629 0.062 0.596
0.756 0.999 0.250
0.567 0.940 0.904
0.437 0.379 0.595
0.988 0.745 0.251
0.747 0.758 0.750
0.946 0.568 0.585
0.331 0.660 0.291
0.432 0.054 0.415
0.054 0.622 0.914
0.621 0.563 0.405
0.378 0.946 0.086
0.671 0.338 0.209
0.003 0.357 0.251
0.643 0.997 0.749
0.666 0.334 0.500
0.644 0.642 0.249
0.330 0.670 0.000
0.358 0.356 0.751
0.000 0.640 0.749
0.360 0.000 0.251
0.667 0.333 0.000
0.331 0.669 0.500
```

Calculated values
Calculated formation energy, eV per atom: -3.5857
Raw total energy, eV per atom: -9.581
Magnetization, μB/f.u.: 0.0

=====

[9]
A relaxed La2Tb2O7 crystal. Source: the Materials Project database, functional PBE.

```
La2Tb2O7
1.0
-4.630 -6.294 1.373
-6.479 -1.198 -4.419
-0.202 -5.986 -5.202
O Tb La
14 4 4
Direct
0.973 0.527 0.973
0.723 0.277 0.277
0.723 0.723 0.277
0.277 0.723 0.723
0.973 0.527 0.527
0.527 0.527 0.973
0.723 0.277 0.723
0.000 0.000 0.000
0.973 0.973 0.527
0.277 0.277 0.723
0.527 0.973 0.527
0.527 0.973 0.973
0.250 0.250 0.250
0.277 0.723 0.277
0.625 0.625 0.125
0.125 0.625 0.625
0.625 0.625 0.625
0.625 0.125 0.625
0.625 0.125 0.125
0.125 0.625 0.125
0.125 0.125 0.625
0.125 0.125 0.125
```

Calculated values
Calculated formation energy, eV per atom: -3.4819
Raw total energy, eV per atom: -7.934
Magnetization, μB/f.u.: 2.0